GdCdAg2 | meta-GGA r2SCAN | optimized geometry

Values from the calculation:
Crystal system ... cubic
Total DFT energy (no corrections) ... -26.811 eV/atom
Energy relative to the elements ... -1.03 eV/f.u.
Density ... 9.4 g/cm3

POSCAR file:
```
GdCdAg2
1.0
0.000 3.498 3.498
3.498 0.000 3.498
3.498 3.498 0.000
Gd Cd Ag
1 1 2
Cartesian
0.000 0.000 0.000 Gd
3.498 3.498 3.498 Cd
1.749 1.749 1.749 Ag
5.247 5.247 5.247 Ag
```